Crystalline Na3Sm2Si2Se6 at its relaxed geometry. Source: Materials Project, functional GGA-PBE.

Lattice parameters (Å, degrees): 7.3481 12.7075 7.6763 90.00 108.60 90.00
With the nearest neighbours (Å) after each atom.
Space group C2/m (No. 12)
Asymmetric unit:
Na  0.0000  0.0000  0.0000 [2 per cell]  6 Se 3.04-3.15
Na  0.0000  0.3290  0.0000 [4 per cell]  6 Se 3.02-3.17
Sm  0.0000  0.1659  0.5000 [4 per cell]  6 Se 2.96
Si  0.0562  0.5000  0.6697 [4 per cell]  1 Si 2.47, 3 Se 2.57-2.58
Se  0.2343  0.0000  0.7377 [4 per cell]  1 Si 2.58
Se  0.2503  0.1721  0.2653 [8 per cell]  1 Si 2.57

---

Crystalline SiS at its relaxed geometry. Source: Materials Project, functional GGA-PBE.

Lattice parameters (Å, degrees): 6.6429 23.9983 3.9854 90.00 90.00 90.00
With the nearest neighbours (Å) after each atom.
Space group Pmna (No. 53)
Asymmetric unit:
Si  0.2500  0.0273  0.2500 [4 per cell]  2 S 2.17, 2 Si 2.39
S  0.0000  0.0848  0.2047 [4 per cell]  2 Si 2.17

---

Crystalline Na6Bi2AsC4O16 at its relaxed geometry. Source: Materials Project, functional GGA-PBE.

Lattice parameters (Å, degrees): 14.6691 14.6691 14.6691 90.00 90.00 90.00
With the nearest neighbours (Å) after each atom.
Space group Fd-3 (No. 203, origin choice 2)
Asymmetric unit:
Na  0.0743  0.3750  0.3750 [48 per cell]  6 O 2.39-2.61
Bi  0.0000  0.0000  0.5000 [16 per cell]  6 O 2.45
As  0.1250  0.1250  0.1250 [8 per cell]  4 O 1.73
C  0.0232  0.0232  0.7268 [32 per cell]  3 O 1.30
O  0.0198  0.0882  0.7873 [96 per cell]  1 C 1.30
O  0.0571  0.0571  0.0571 [32 per cell]  1 As 1.73

---

no.,formation energy from the elements (meV/atom)
1,-1242
2,-672
3,-1865